SmFeSb2: optimized geometry, PBE.

Results
As for the formation energy: -2.39 eV/f.u. Its total magnetization is 0.017 μB/f.u. The crystal system is tetragonal. The total energy after the MP2020 corrections is -23.83 eV per formula unit.

Geometry as CIF:
```
data_SmFeSb2
_cell_length_a 4.3418
_cell_length_b 4.3418
_cell_length_c 9.7472
_cell_angle_alpha 90.00
_cell_angle_beta 90.00
_cell_angle_gamma 90.00
_symmetry_space_group_name_H-M 'P 1'
_symmetry_Int_Tables_number 1
_symmetry_space_group_name_Hall 'P 1'
loop_
_atom_site_label
_atom_site_type_symbol
_atom_site_fract_x
_atom_site_fract_y
_atom_site_fract_z
_atom_site_occupancy
Sm1 Sm 0.2500 0.2500 0.2434 1
Sm2 Sm 0.7500 0.7500 0.7566 1
Fe1 Fe 0.2500 0.7500 0.0000 1
Fe2 Fe 0.7500 0.2500 0.0000 1
Sb1 Sb 0.2500 0.2500 0.8630 1
Sb2 Sb 0.2500 0.7500 0.5000 1
Sb3 Sb 0.7500 0.2500 0.5000 1
Sb4 Sb 0.7500 0.7500 0.1370 1
```

SmFeSb3: optimized geometry, PBE.

Results
As for the formation energy: -2.98 eV/f.u. Its total magnetization is 0.011 μB/f.u. The crystal system is orthorhombic. The total energy after the MP2020 corrections is -28.56 eV per formula unit.

Geometry as CIF:
```
data_SmFeSb3
_cell_length_a 12.7217
_cell_length_b 6.1521
_cell_length_c 12.1366
_cell_angle_alpha 90.00
_cell_angle_beta 90.00
_cell_angle_gamma 90.00
_symmetry_space_group_name_H-M 'P 1'
_symmetry_Int_Tables_number 1
_symmetry_space_group_name_Hall 'P 1'
loop_
_atom_site_label
_atom_site_type_symbol
_atom_site_fract_x
_atom_site_fract_y
_atom_site_fract_z
_atom_site_occupancy
Sm1 Sm 0.1971 0.2226 0.2500 1
Sm2 Sm 0.1971 0.2774 0.7500 1
Sm3 Sm 0.2022 0.7500 0.0000 1
Sm4 Sm 0.2022 0.7500 0.5000 1
Sm5 Sm 0.7978 0.2500 0.0000 1
Sm6 Sm 0.7978 0.2500 0.5000 1
Sm7 Sm 0.8029 0.7226 0.2500 1
Sm8 Sm 0.8029 0.7774 0.7500 1
Fe1 Fe 0.3992 0.0375 0.6388 1
Fe2 Fe 0.3992 0.0375 0.8612 1
Fe3 Fe 0.3992 0.4625 0.1388 1
Fe4 Fe 0.3992 0.4625 0.3612 1
Fe5 Fe 0.6008 0.5375 0.6388 1
Fe6 Fe 0.6008 0.5375 0.8612 1
Fe7 Fe 0.6008 0.9625 0.1388 1
Fe8 Fe 0.6008 0.9625 0.3612 1
Sb1 Sb 0.0033 0.0134 0.6244 1
Sb2 Sb 0.0033 0.0134 0.8756 1
Sb3 Sb 0.0033 0.4866 0.1244 1
Sb4 Sb 0.0033 0.4866 0.3756 1
Sb5 Sb 0.2809 0.2500 0.0000 1
Sb6 Sb 0.2809 0.2500 0.5000 1
Sb7 Sb 0.2838 0.7332 0.2500 1
Sb8 Sb 0.2838 0.7668 0.7500 1
Sb9 Sb 0.4432 0.1142 0.2500 1
Sb10 Sb 0.4432 0.3858 0.7500 1
Sb11 Sb 0.4722 0.7500 0.0000 1
Sb12 Sb 0.4722 0.7500 0.5000 1
Sb13 Sb 0.5278 0.2500 0.0000 1
Sb14 Sb 0.5278 0.2500 0.5000 1
Sb15 Sb 0.5568 0.6142 0.2500 1
Sb16 Sb 0.5568 0.8858 0.7500 1
Sb17 Sb 0.7162 0.2332 0.2500 1
Sb18 Sb 0.7162 0.2668 0.7500 1
Sb19 Sb 0.7191 0.7500 0.0000 1
Sb20 Sb 0.7191 0.7500 0.5000 1
Sb21 Sb 0.9967 0.5134 0.6244 1
Sb22 Sb 0.9967 0.5134 0.8756 1
Sb23 Sb 0.9967 0.9866 0.1244 1
Sb24 Sb 0.9967 0.9866 0.3756 1
```

Tb6FeSb2: optimized geometry, PBE.

Results
As for the formation energy: -5.30 eV/f.u. Its total magnetization is 0.495 μB/f.u. The crystal system is hexagonal. The total energy after the MP2020 corrections is -49.83 eV per formula unit.

Geometry as CIF:
```
data_Tb6FeSb2
_cell_length_a 8.2721
_cell_length_b 8.2721
_cell_length_c 4.1538
_cell_angle_alpha 90.00
_cell_angle_beta 90.00
_cell_angle_gamma 120.00
_symmetry_space_group_name_H-M 'P 1'
_symmetry_Int_Tables_number 1
_symmetry_space_group_name_Hall 'P 1'
loop_
_atom_site_label
_atom_site_type_symbol
_atom_site_fract_x
_atom_site_fract_y
_atom_site_fract_z
_atom_site_occupancy
Tb1 Tb 0.0000 0.2347 0.0000 1
Tb2 Tb 0.0000 0.5995 0.5000 1
Tb3 Tb 0.2347 0.0000 0.0000 1
Tb4 Tb 0.4005 0.4005 0.5000 1
Tb5 Tb 0.5995 0.0000 0.5000 1
Tb6 Tb 0.7653 0.7653 0.0000 1
Fe1 Fe 0.0000 0.0000 0.5000 1
Sb1 Sb 0.3333 0.6667 0.0000 1
Sb2 Sb 0.6667 0.3333 0.0000 1
```

FeSbTe: optimized geometry, PBE.

Results
As for the formation energy: -0.69 eV/f.u. The crystal system is monoclinic. The total energy after the MP2020 corrections is -16.43 eV per formula unit.

Geometry as CIF:
```
data_FeSbTe
_cell_length_a 5.5206
_cell_length_b 3.6028
_cell_length_c 6.4158
_cell_angle_alpha 90.00
_cell_angle_beta 91.55
_cell_angle_gamma 90.00
_symmetry_space_group_name_H-M 'P 1'
_symmetry_Int_Tables_number 1
_symmetry_space_group_name_Hall 'P 1'
loop_
_atom_site_label
_atom_site_type_symbol
_atom_site_fract_x
_atom_site_fract_y
_atom_site_fract_z
_atom_site_occupancy
Fe1 Fe 0.0000 0.0000 0.0000 1
Fe2 Fe 0.5000 0.5000 0.5000 1
Sb1 Sb 0.2034 0.0000 0.6440 1
Sb2 Sb 0.7966 0.0000 0.3560 1
Te1 Te 0.2853 0.5000 0.1449 1
Te2 Te 0.7147 0.5000 0.8551 1
```

FeSbTe: optimized geometry, PBE.

Results
As for the formation energy: -0.83 eV/f.u. Its total magnetization is 0.000 μB/f.u. The crystal system is monoclinic. The total energy after the MP2020 corrections is -16.57 eV per formula unit.

Geometry as CIF:
```
data_FeSbTe
_cell_length_a 6.5423
_cell_length_b 6.3814
_cell_length_c 6.5644
_cell_angle_alpha 90.00
_cell_angle_beta 114.88
_cell_angle_gamma 90.00
_symmetry_space_group_name_H-M 'P 1'
_symmetry_Int_Tables_number 1
_symmetry_space_group_name_Hall 'P 1'
loop_
_atom_site_label
_atom_site_type_symbol
_atom_site_fract_x
_atom_site_fract_y
_atom_site_fract_z
_atom_site_occupancy
Fe1 Fe 0.2230 0.0000 0.2124 1
Fe2 Fe 0.2230 0.5000 0.7124 1
Fe3 Fe 0.7770 0.0000 0.7876 1
Fe4 Fe 0.7770 0.5000 0.2876 1
Sb1 Sb 0.3617 0.1439 0.6240 1
Sb2 Sb 0.3617 0.3561 0.1240 1
Sb3 Sb 0.6383 0.6439 0.8760 1
Sb4 Sb 0.6383 0.8561 0.3760 1
Te1 Te 0.1508 0.6428 0.3325 1
Te2 Te 0.1508 0.8572 0.8325 1
Te3 Te 0.8492 0.1428 0.1675 1
Te4 Te 0.8492 0.3572 0.6675 1
```

Ti5Fe4Sb4: optimized geometry, PBE.

Results
As for the formation energy: -5.67 eV/f.u. Its total magnetization is 0.000 μB/f.u. The crystal system is trigonal. The total energy after the MP2020 corrections is -95.54 eV per formula unit.

Geometry as CIF:
```
data_Ti5Fe4Sb4
_cell_length_a 13.8987
_cell_length_b 13.8987
_cell_length_c 13.8987
_cell_angle_alpha 17.68
_cell_angle_beta 17.68
_cell_angle_gamma 17.68
_symmetry_space_group_name_H-M 'P 1'
_symmetry_Int_Tables_number 1
_symmetry_space_group_name_Hall 'P 1'
loop_
_atom_site_label
_atom_site_type_symbol
_atom_site_fract_x
_atom_site_fract_y
_atom_site_fract_z
_atom_site_occupancy
Ti1 Ti 0.0000 0.0000 0.0000 1
Ti2 Ti 0.0680 0.0680 0.0680 1
Ti3 Ti 0.2552 0.2552 0.2552 1
Ti4 Ti 0.5081 0.5081 0.5081 1
Ti5 Ti 0.7601 0.7601 0.7601 1
Fe1 Fe 0.1944 0.1944 0.1944 1
Fe2 Fe 0.4397 0.4397 0.4397 1
Fe3 Fe 0.6938 0.6938 0.6938 1
Fe4 Fe 0.9438 0.9438 0.9438 1
Sb1 Sb 0.1344 0.1344 0.1344 1
Sb2 Sb 0.3732 0.3732 0.3732 1
Sb3 Sb 0.6281 0.6281 0.6281 1
Sb4 Sb 0.8807 0.8807 0.8807 1
```

Ti5FeSb2: optimized geometry, PBE.

Results
As for the formation energy: -3.86 eV/f.u. Its total magnetization is 0.001 μB/f.u. The crystal system is tetragonal. The total energy after the MP2020 corrections is -60.06 eV per formula unit.

Geometry as CIF:
```
data_Ti5FeSb2
_cell_length_a 7.8258
_cell_length_b 7.8258
_cell_length_c 7.8258
_cell_angle_alpha 96.20
_cell_angle_beta 96.20
_cell_angle_gamma 141.63
_symmetry_space_group_name_H-M 'P 1'
_symmetry_Int_Tables_number 1
_symmetry_space_group_name_Hall 'P 1'
loop_
_atom_site_label
_atom_site_type_symbol
_atom_site_fract_x
_atom_site_fract_y
_atom_site_fract_z
_atom_site_occupancy
Ti1 Ti 0.0690 0.8014 0.8703 1
Ti2 Ti 0.1986 0.0690 0.2676 1
Ti3 Ti 0.2500 0.7500 0.5000 1
Ti4 Ti 0.3014 0.5690 0.8703 1
Ti5 Ti 0.4310 0.3014 0.7324 1
Ti6 Ti 0.5690 0.6986 0.2676 1
Ti7 Ti 0.6986 0.4310 0.1297 1
Ti8 Ti 0.7500 0.2500 0.5000 1
Ti9 Ti 0.8014 0.9310 0.7324 1
Ti10 Ti 0.9310 0.1986 0.1297 1
Fe1 Fe 0.2500 0.2500 0.0000 1
Fe2 Fe 0.7500 0.7500 0.0000 1
Sb1 Sb 0.1642 0.3358 0.5000 1
Sb2 Sb 0.3358 0.8358 0.1717 1
Sb3 Sb 0.6642 0.1642 0.8283 1
Sb4 Sb 0.8358 0.6642 0.5000 1
```

Ti5Fe4Sb4: optimized geometry, PBE.

Results
As for the formation energy: -0.45 eV/f.u. Its total magnetization is 5.550 μB/f.u. The crystal system is trigonal. The total energy after the MP2020 corrections is -90.33 eV per formula unit.

Geometry as CIF:
```
data_Ti5Fe4Sb4
_cell_length_a 14.5385
_cell_length_b 14.5385
_cell_length_c 14.5385
_cell_angle_alpha 17.70
_cell_angle_beta 17.70
_cell_angle_gamma 17.70
_symmetry_space_group_name_H-M 'P 1'
_symmetry_Int_Tables_number 1
_symmetry_space_group_name_Hall 'P 1'
loop_
_atom_site_label
_atom_site_type_symbol
_atom_site_fract_x
_atom_site_fract_y
_atom_site_fract_z
_atom_site_occupancy
Ti1 Ti 0.0000 0.0000 0.0000 1
Ti2 Ti 0.1260 0.1260 0.1260 1
Ti3 Ti 0.2519 0.2519 0.2519 1
Ti4 Ti 0.5029 0.5029 0.5029 1
Ti5 Ti 0.7537 0.7537 0.7537 1
Fe1 Fe 0.1870 0.1870 0.1870 1
Fe2 Fe 0.4415 0.4415 0.4415 1
Fe3 Fe 0.6905 0.6905 0.6905 1
Fe4 Fe 0.9384 0.9384 0.9384 1
Sb1 Sb 0.0613 0.0613 0.0613 1
Sb2 Sb 0.3150 0.3150 0.3150 1
Sb3 Sb 0.5667 0.5667 0.5667 1
Sb4 Sb 0.8200 0.8200 0.8200 1
```

> Among the records above, which one has the lowest formation energy?

number 6

> Among the records above, which one has the lowest total energy after the MP2020 corrections?

number 6

> Number 2 is which compound?

SmFeSb3